Compound: KLaCuWO6
Source: the Materials Project database
Functional: GGA+U
Structure: relaxed

abc: 5.6516 5.6516 5.6516
angles: 60.00 60.00 60.00
Fractional positions:
K 0.7500 0.7500 0.7500
La 0.2500 0.2500 0.2500
Cu 0.0000 0.0000 0.0000
W 0.5000 0.5000 0.5000
O 0.7426 0.2574 0.2574
O 0.2574 0.7426 0.7426
O 0.7426 0.2574 0.7426
O 0.2574 0.7426 0.2574
O 0.7426 0.7426 0.2574
O 0.2574 0.2574 0.7426

- raw total energy (eV per atom) = -6.7168
- DFT formation energy (eV/atom) = -2.294